# 1
! Tb8CrTe13Cl, optimized geometry, DFT PBE-GGA; values from VASP
&SYSTEM
  ibrav = 0, nat = 46, ntyp = 4
/
ATOMIC_SPECIES
Tb 158.93 Tb.upf
Cr 52.00 Cr.upf
Te 127.60 Te.upf
Cl 35.45 Cl.upf
CELL_PARAMETERS angstrom
2.099 -13.302 0.000
2.099 13.302 0.000
0.000 0.000 23.835
ATOMIC_POSITIONS angstrom
Tb 2.099 12.829 11.918
Tb 2.099 11.911 19.880
Tb 2.099 10.444 15.785
Tb 2.099 9.370 23.723
Tb 2.099 5.975 16.273
Tb 2.099 5.143 0.225
Tb 2.099 3.512 20.085
Tb 2.099 1.581 16.089
Tb 2.099 -1.581 4.172
Tb 2.099 -3.512 8.167
Tb 2.099 -5.143 12.143
Tb 2.099 -5.975 4.355
Tb 2.099 -9.370 11.805
Tb 2.099 -10.444 3.868
Tb 2.099 -11.911 7.962
Tb 2.099 -12.829 0.000
Cr 2.099 5.555 8.025
Cr 2.099 -5.555 19.943
Te 2.099 11.657 6.620
Te 2.099 9.839 10.514
Te 2.099 9.482 3.239
Te 2.099 8.689 18.429
Te 2.099 7.917 6.669
Te 2.099 6.818 21.476
Te 2.099 5.995 12.949
Te 2.099 5.207 3.391
Te 2.099 3.269 9.467
Te 2.099 2.294 1.495
Te 2.099 1.757 12.816
Te 2.099 1.335 5.637
Te 2.099 0.496 21.428
Te 2.099 -0.496 9.510
Te 2.099 -1.335 17.554
Te 2.099 -1.757 0.898
Te 2.099 -2.294 13.412
Te 2.099 -3.269 21.385
Te 2.099 -5.207 15.309
Te 2.099 -5.995 1.032
Te 2.099 -6.818 9.558
Te 2.099 -7.917 18.587
Te 2.099 -8.689 6.511
Te 2.099 -9.482 15.157
Te 2.099 -9.839 22.432
Te 2.099 -11.657 18.538
Cl 2.099 13.289 3.128
Cl 2.099 -13.289 15.046
! total magnetic moment	1.7	Bohr magnetons per cell
! energy relative to the elements	-1295	meV per atom
! volume	665.52	Å³/f.u.

---

# 2
! CsCl, optimized geometry, DFT PBE-GGA; values from VASP
&SYSTEM
  ibrav = 0, nat = 2, ntyp = 2
/
ATOMIC_SPECIES
Cs 132.91 Cs.upf
Cl 35.45 Cl.upf
CELL_PARAMETERS angstrom
0.000 3.531 3.531
3.531 0.000 3.531
3.531 3.531 0.000
ATOMIC_POSITIONS angstrom
Cs 0.000 0.000 0.000
Cl 3.531 3.531 3.531
! energy relative to the elements	-2255	meV per atom
! volume	88.05	Å³/f.u.

---

# 3
! CsCl, optimized geometry, DFT PBE-GGA; values from VASP
&SYSTEM
  ibrav = 0, nat = 2, ntyp = 2
/
ATOMIC_SPECIES
Cs 132.91 Cs.upf
Cl 35.45 Cl.upf
CELL_PARAMETERS angstrom
4.209 0.000 0.000
0.000 4.209 0.000
0.000 0.000 4.209
ATOMIC_POSITIONS angstrom
Cs 0.000 0.000 0.000
Cl 2.105 2.105 2.105
! energy relative to the elements	-2207	meV per atom
! volume	74.57	Å³/f.u.

---

# 4
! Cs2CuCl4, optimized geometry, DFT PBE-GGA; values from VASP
&SYSTEM
  ibrav = 0, nat = 28, ntyp = 3
/
ATOMIC_SPECIES
Cs 132.91 Cs.upf
Cu 63.55 Cu.upf
Cl 35.45 Cl.upf
CELL_PARAMETERS angstrom
9.962 0.000 0.000
0.000 7.782 0.000
0.000 0.000 12.390
ATOMIC_POSITIONS angstrom
Cs 0.089 1.946 2.146
Cs 1.333 1.946 7.462
Cs 3.648 5.837 1.267
Cs 4.892 5.837 8.341
Cs 5.069 1.946 4.049
Cs 6.313 1.946 11.123
Cs 8.629 5.837 4.928
Cs 9.873 5.837 10.244
Cu 2.310 1.946 11.349
Cu 2.670 5.837 5.154
Cu 7.291 1.946 7.236
Cu 7.651 5.837 1.041
Cl 0.075 1.946 10.914
Cl 1.415 5.837 7.054
Cl 2.166 0.127 4.454
Cl 2.166 3.764 4.454
Cl 2.815 4.019 10.649
Cl 2.815 7.655 10.649
Cl 3.565 1.946 0.859
Cl 4.906 5.837 4.719
Cl 5.056 1.946 7.671
Cl 6.396 5.837 11.532
Cl 7.147 0.127 1.741
Cl 7.147 3.764 1.741
Cl 7.795 4.019 7.936
Cl 7.795 7.655 7.936
Cl 8.546 1.946 5.336
Cl 9.886 5.837 1.476
! energy relative to the elements	-1726	meV per atom
! volume	240.13	Å³/f.u.

---

# 5
! CsCu2Cl3, optimized geometry, DFT PBE-GGA; values from VASP
&SYSTEM
  ibrav = 0, nat = 12, ntyp = 3
/
ATOMIC_SPECIES
Cs 132.91 Cs.upf
Cu 63.55 Cu.upf
Cl 35.45 Cl.upf
CELL_PARAMETERS angstrom
4.868 -6.253 0.000
4.868 6.253 0.000
0.000 0.000 5.345
ATOMIC_POSITIONS angstrom
Cs 4.868 3.907 4.009
Cs 4.868 -3.907 1.336
Cu 3.249 0.000 0.000
Cu 3.249 0.000 2.673
Cu 6.488 0.000 0.000
Cu 6.488 0.000 2.673
Cl 2.145 1.488 4.009
Cl 2.145 -1.488 1.336
Cl 4.868 1.344 1.336
Cl 4.868 -1.344 4.009
Cl 7.592 1.488 4.009
Cl 7.592 -1.488 1.336
! energy relative to the elements	-1257	meV per atom
! volume	162.72	Å³/f.u.

---

# 6
! Cs2DyCuCl6, optimized geometry, DFT PBE-GGA; values from VASP
&SYSTEM
  ibrav = 0, nat = 10, ntyp = 4
/
ATOMIC_SPECIES
Cs 132.91 Cs.upf
Dy 162.50 Dy.upf
Cu 63.55 Cu.upf
Cl 35.45 Cl.upf
CELL_PARAMETERS angstrom
0.000 5.265 5.265
5.265 0.000 5.265
5.265 5.265 0.000
ATOMIC_POSITIONS angstrom
Cs 2.632 2.632 2.632
Cs 7.897 7.897 7.897
Dy 0.000 0.000 0.000
Cu 5.265 5.265 5.265
Cl 5.265 5.265 2.654
Cl 5.265 2.654 5.265
Cl 7.876 5.265 5.265
Cl 2.654 5.265 5.265
Cl 5.265 7.876 5.265
Cl 5.265 5.265 7.876
! total magnetic moment	0.0	Bohr magnetons per cell
! energy relative to the elements	-2163	meV per atom
! volume	291.87	Å³/f.u.

---

# 7
! Cs2GaCuCl6, optimized geometry, DFT PBE-GGA; values from VASP
&SYSTEM
  ibrav = 0, nat = 10, ntyp = 4
/
ATOMIC_SPECIES
Cs 132.91 Cs.upf
Ga 69.72 Ga.upf
Cu 63.55 Cu.upf
Cl 35.45 Cl.upf
CELL_PARAMETERS angstrom
0.000 5.076 5.076
5.076 0.000 5.076
5.076 5.076 0.000
ATOMIC_POSITIONS angstrom
Cs 2.538 2.538 2.538
Cs 7.614 7.614 7.614
Ga 0.000 0.000 0.000
Cu 5.076 5.076 5.076
Cl 5.076 5.076 2.469
Cl 5.076 2.469 5.076
Cl 7.682 5.076 5.076
Cl 2.469 5.076 5.076
Cl 5.076 7.682 5.076
Cl 5.076 5.076 7.682
! total magnetic moment	0.0	Bohr magnetons per cell
! energy relative to the elements	-1651	meV per atom
! volume	261.56	Å³/f.u.

---

# 8
! CsCu2ICl2, optimized geometry, DFT PBE-GGA; values from VASP
&SYSTEM
  ibrav = 0, nat = 12, ntyp = 4
/
ATOMIC_SPECIES
Cs 132.91 Cs.upf
Cu 63.55 Cu.upf
I 126.90 I.upf
Cl 35.45 Cl.upf
CELL_PARAMETERS angstrom
7.762 0.000 0.000
0.000 5.558 0.000
-3.050 0.000 8.287
ATOMIC_POSITIONS angstrom
Cs 0.219 1.390 3.032
Cs 4.494 4.169 5.255
Cu 0.392 2.802 7.071
Cu 0.392 5.535 7.071
Cu 4.321 0.023 1.216
Cu 4.321 2.756 1.216
I 2.123 4.169 0.677
I 2.590 1.390 7.610
Cl -1.314 1.390 6.188
Cl 0.948 4.169 5.204
Cl 3.765 1.390 3.083
Cl 6.026 4.169 2.099
! energy relative to the elements	-1079	meV per atom
! volume	178.77	Å³/f.u.

---

# 9
! Cs2InCuCl6, optimized geometry, DFT PBE-GGA; values from VASP
&SYSTEM
  ibrav = 0, nat = 10, ntyp = 4
/
ATOMIC_SPECIES
Cs 132.91 Cs.upf
In 114.82 In.upf
Cu 63.55 Cu.upf
Cl 35.45 Cl.upf
CELL_PARAMETERS angstrom
0.000 5.173 5.173
5.173 0.000 5.173
5.173 5.173 0.000
ATOMIC_POSITIONS angstrom
Cs 2.586 2.586 2.586
Cs 7.759 7.759 7.759
In 0.000 0.000 0.000
Cu 5.173 5.173 5.173
Cl 5.173 5.173 2.604
Cl 5.173 2.604 5.173
Cl 7.741 5.173 5.173
Cl 2.604 5.173 5.173
Cl 5.173 7.741 5.173
Cl 5.173 5.173 7.741
! total magnetic moment	0.1	Bohr magnetons per cell
! energy relative to the elements	-1694	meV per atom
! volume	276.83	Å³/f.u.

---

# 10
! Cs3Cu3Cl8O, optimized geometry, DFT PBE-GGA; values from VASP
&SYSTEM
  ibrav = 0, nat = 60, ntyp = 4
/
ATOMIC_SPECIES
Cs 132.91 Cs.upf
Cu 63.55 Cu.upf
Cl 35.45 Cl.upf
O 16.00 O.upf
CELL_PARAMETERS angstrom
13.827 0.000 0.000
0.000 9.803 0.000
-5.640 0.000 12.615
ATOMIC_POSITIONS angstrom
Cs -0.212 1.167 2.500
Cs -3.032 3.735 8.807
Cs 2.229 5.860 0.938
Cs -0.592 8.845 7.246
Cs 1.403 5.833 10.239
Cs 4.223 8.872 3.931
Cs 3.963 0.931 8.684
Cs 6.784 3.971 2.376
Cs 8.778 0.958 5.369
Cs 5.958 3.943 11.677
Cs 11.218 6.069 3.808
Cs 8.398 8.636 10.116
Cu -2.398 1.514 12.490
Cu 0.422 3.387 6.182
Cu 1.477 5.959 5.185
Cu -1.343 8.746 11.492
Cu 0.172 1.500 10.914
Cu 2.993 3.402 4.607
Cu 5.194 6.401 8.008
Cu 8.014 8.304 1.701
Cu 9.530 1.058 1.123
Cu 6.709 3.844 7.430
Cu 7.764 6.416 6.433
Cu 10.584 8.289 0.125
Cl -1.468 2.146 5.964
Cl -4.288 2.756 12.271
Cl -2.368 0.335 9.864
Cl 0.452 4.567 3.556
Cl -0.638 5.316 6.947
Cl 2.182 9.389 0.640
Cl -2.081 6.920 10.407
Cl 0.739 7.785 4.100
Cl 1.909 1.594 5.498
Cl -0.912 3.308 11.806
Cl 3.626 2.310 2.752
Cl 0.806 2.592 9.060
Cl 2.560 7.213 6.757
Cl 5.381 7.492 0.450
Cl 3.991 5.314 3.908
Cl 1.170 9.391 10.216
Cl 7.016 0.412 2.400
Cl 4.196 4.490 8.707
Cl 2.806 2.311 12.165
Cl 5.626 2.590 5.858
Cl 7.380 7.212 3.555
Cl 4.560 7.493 9.863
Cl 9.098 6.495 0.810
Cl 6.278 8.210 7.117
Cl 7.447 2.018 8.516
Cl 10.267 2.884 2.208
Cl 6.004 0.414 11.976
Cl 8.824 4.488 5.668
Cl 7.734 5.236 9.059
Cl 10.555 9.469 2.751
Cl 12.475 7.048 0.344
Cl 9.654 7.657 6.652
O -0.737 0.550 12.296
O 2.083 4.352 5.988
O 6.103 5.451 6.627
O 8.924 9.254 0.319
! total magnetic moment	0.0	Bohr magnetons per cell
! energy relative to the elements	-1118	meV per atom
! volume	427.49	Å³/f.u.

---

# 11
! Cs2PrCuCl6, optimized geometry, DFT PBE-GGA; values from VASP
&SYSTEM
  ibrav = 0, nat = 10, ntyp = 4
/
ATOMIC_SPECIES
Cs 132.91 Cs.upf
Pr 140.91 Pr.upf
Cu 63.55 Cu.upf
Cl 35.45 Cl.upf
CELL_PARAMETERS angstrom
0.000 5.354 5.354
5.354 0.000 5.354
5.354 5.354 0.000
ATOMIC_POSITIONS angstrom
Cs 2.677 2.677 2.677
Cs 8.031 8.031 8.031
Pr 0.000 0.000 0.000
Cu 5.354 5.354 5.354
Cl 5.354 5.354 2.762
Cl 5.354 2.762 5.354
Cl 7.945 5.354 5.354
Cl 2.762 5.354 5.354
Cl 5.354 7.945 5.354
Cl 5.354 5.354 7.945
! total magnetic moment	0.0	Bohr magnetons per cell
! energy relative to the elements	-2141	meV per atom
! volume	306.89	Å³/f.u.

---

# 12
! Cs4CuSb2Cl12, optimized geometry, DFT PBE-GGA; values from VASP
&SYSTEM
  ibrav = 0, nat = 38, ntyp = 4
/
ATOMIC_SPECIES
Cl 35.45 Cl.upf
Cs 132.91 Cs.upf
Sb 121.76 Sb.upf
Cu 63.55 Cu.upf
CELL_PARAMETERS angstrom
12.512 0.000 -5.277
0.000 7.424 0.000
-0.208 0.000 13.557
ATOMIC_POSITIONS angstrom
Cl 1.491 0.000 11.038
Cl 4.788 5.768 3.220
Cl 10.706 3.712 4.048
Cl 1.672 1.951 1.089
Cl 4.556 3.712 -0.118
Cl 10.631 5.473 7.192
Cl 10.812 0.000 -2.757
Cl 10.631 1.951 7.192
Cl 7.928 5.663 -1.549
Cl 7.515 5.768 5.061
Cl 7.928 1.761 -1.549
Cl 1.598 3.712 4.233
Cl 4.375 1.761 9.830
Cl 7.747 3.712 8.399
Cl 1.259 2.056 7.700
Cl 7.854 0.000 1.594
Cl 1.259 5.368 7.700
Cl 4.375 5.663 9.830
Cl 4.450 0.000 6.686
Cl 1.672 5.473 1.089
Cl 4.788 1.656 3.220
Cl 11.044 5.368 0.581
Cl 11.044 2.056 0.581
Cl 7.515 1.656 5.061
Cs 4.550 3.712 6.467
Cs 1.497 0.000 4.452
Cs 10.806 0.000 3.829
Cs 7.626 0.000 8.538
Cs 10.933 3.712 -2.895
Cs 4.678 0.000 -0.257
Cs 7.753 3.712 1.813
Cs 1.370 3.712 11.176
Sb 9.383 0.000 -0.578
Sb 3.127 3.712 2.061
Sb 9.176 3.712 6.220
Sb 2.920 0.000 8.859
Cu 6.152 0.000 4.140
Cu -0.104 3.712 6.779
! total magnetic moment	0.0	Bohr magnetons per cell
! energy relative to the elements	-1733	meV per atom
! volume	625.60	Å³/f.u.

---

# 13
! Cs2ScCuCl6, optimized geometry, DFT PBE-GGA; values from VASP
&SYSTEM
  ibrav = 0, nat = 10, ntyp = 4
/
ATOMIC_SPECIES
Cs 132.91 Cs.upf
Sc 44.96 Sc.upf
Cu 63.55 Cu.upf
Cl 35.45 Cl.upf
CELL_PARAMETERS angstrom
0.000 5.151 5.151
5.151 0.000 5.151
5.151 5.151 0.000
ATOMIC_POSITIONS angstrom
Cs 2.576 2.576 2.576
Cs 7.727 7.727 7.727
Sc 0.000 0.000 0.000
Cu 5.151 5.151 5.151
Cl 5.151 5.151 2.530
Cl 5.151 2.530 5.151
Cl 7.773 5.151 5.151
Cl 2.530 5.151 5.151
Cl 5.151 7.773 5.151
Cl 5.151 5.151 7.773
! total magnetic moment	0.0	Bohr magnetons per cell
! energy relative to the elements	-2092	meV per atom
! volume	273.38	Å³/f.u.

---

# 14
! Cs2TbCuCl6, optimized geometry, DFT PBE-GGA; values from VASP
&SYSTEM
  ibrav = 0, nat = 10, ntyp = 4
/
ATOMIC_SPECIES
Cs 132.91 Cs.upf
Tb 158.93 Tb.upf
Cu 63.55 Cu.upf
Cl 35.45 Cl.upf
CELL_PARAMETERS angstrom
0.000 5.279 5.279
5.279 0.000 5.279
5.279 5.279 0.000
ATOMIC_POSITIONS angstrom
Cs 2.640 2.640 2.640
Cs 7.919 7.919 7.919
Tb 0.000 0.000 0.000
Cu 5.279 5.279 5.279
Cl 5.279 5.279 2.667
Cl 5.279 2.667 5.279
Cl 7.892 5.279 5.279
Cl 2.667 5.279 5.279
Cl 5.279 7.892 5.279
Cl 5.279 5.279 7.892
! total magnetic moment	0.0	Bohr magnetons per cell
! energy relative to the elements	-2161	meV per atom
! volume	294.27	Å³/f.u.

---

# 15
! Cs2TlCuCl6, optimized geometry, DFT PBE-GGA; values from VASP
&SYSTEM
  ibrav = 0, nat = 10, ntyp = 4
/
ATOMIC_SPECIES
Cs 132.91 Cs.upf
Tl 204.38 Tl.upf
Cu 63.55 Cu.upf
Cl 35.45 Cl.upf
CELL_PARAMETERS angstrom
0.000 5.247 5.247
5.247 0.000 5.247
5.247 5.247 0.000
ATOMIC_POSITIONS angstrom
Cs 2.624 2.624 2.624
Cs 7.871 7.871 7.871
Tl 0.000 0.000 0.000
Cu 5.247 5.247 5.247
Cl 5.247 5.247 2.765
Cl 5.247 2.765 5.247
Cl 7.729 5.247 5.247
Cl 2.765 5.247 5.247
Cl 5.247 7.729 5.247
Cl 5.247 5.247 7.729
! total magnetic moment	0.1	Bohr magnetons per cell
! energy relative to the elements	-1575	meV per atom
! volume	288.92	Å³/f.u.

---

# 16
! Cs2TmCuCl6, optimized geometry, DFT PBE-GGA; values from VASP
&SYSTEM
  ibrav = 0, nat = 10, ntyp = 4
/
ATOMIC_SPECIES
Cs 132.91 Cs.upf
Tm 168.93 Tm.upf
Cu 63.55 Cu.upf
Cl 35.45 Cl.upf
CELL_PARAMETERS angstrom
0.000 5.231 5.231
5.231 0.000 5.231
5.231 5.231 0.000
ATOMIC_POSITIONS angstrom
Cs 2.616 2.616 2.616
Cs 7.847 7.847 7.847
Tm 0.000 0.000 0.000
Cu 5.231 5.231 5.231
Cl 5.231 5.231 2.618
Cl 5.231 2.618 5.231
Cl 7.845 5.231 5.231
Cl 2.618 5.231 5.231
Cl 5.231 7.845 5.231
Cl 5.231 5.231 7.845
! total magnetic moment	0.0	Bohr magnetons per cell
! energy relative to the elements	-2161	meV per atom
! volume	286.33	Å³/f.u.

---

# 17
! Cs2YCuCl6, optimized geometry, DFT PBE-GGA; values from VASP
&SYSTEM
  ibrav = 0, nat = 10, ntyp = 4
/
ATOMIC_SPECIES
Cs 132.91 Cs.upf
Y 88.91 Y.upf
Cu 63.55 Cu.upf
Cl 35.45 Cl.upf
CELL_PARAMETERS angstrom
0.000 5.271 5.271
5.271 0.000 5.271
5.271 5.271 0.000
ATOMIC_POSITIONS angstrom
Cs 2.636 2.636 2.636
Cs 7.907 7.907 7.907
Y 0.000 0.000 0.000
Cu 5.271 5.271 5.271
Cl 5.271 5.271 2.660
Cl 5.271 2.660 5.271
Cl 7.883 5.271 5.271
Cl 2.660 5.271 5.271
Cl 5.271 7.883 5.271
Cl 5.271 5.271 7.883
! total magnetic moment	0.0	Bohr magnetons per cell
! energy relative to the elements	-2159	meV per atom
! volume	292.97	Å³/f.u.